[1]
# ScGaPd (r²SCAN, relaxed)
data_ScGaPd
_cell_length_a 6.518
_cell_length_b 4.254
_cell_length_c 7.535
_cell_angle_alpha 90.00
_cell_angle_beta 90.00
_cell_angle_gamma 90.00
_space_group_name_H-M_alt 'P n m a'
_space_group_IT_number 62
_space_group_name_Hall '-P 2ac 2n'
loop_
_atom_site_label
_atom_site_type_symbol
_atom_site_fract_x
_atom_site_fract_y
_atom_site_fract_z
_atom_site_occupancy
Sc1 Sc 0.010 0.250 0.202 1
Ga1 Ga 0.219 0.750 0.393 1
Pd1 Pd 0.175 0.250 0.567 1
# Calculated density (g cm⁻³): 7.03
# Crystal system: orthorhombic
# Final energy (eV/cell): -193.63
# ΔE_f (eV per formula unit): -2.61

=====

[2]
# USb2Au (r²SCAN, relaxed)
data_USb2Au
_cell_length_a 4.400
_cell_length_b 4.400
_cell_length_c 10.078
_cell_angle_alpha 90.00
_cell_angle_beta 90.00
_cell_angle_gamma 90.00
_space_group_name_H-M_alt 'P 4/n m m'
_space_group_IT_number 129
loop_
_space_group_symop_operation_xyz
'x,y,z'
'-x,-y,-z'
'-y+1/2,x,z'
'y+1/2,-x,-z'
'-x+1/2,-y+1/2,z'
'x+1/2,y+1/2,-z'
'y,-x+1/2,z'
'-y,x+1/2,-z'
'x+1/2,-y,-z'
'-x+1/2,y,z'
'-y,-x,-z'
'y,x,z'
'-x,y+1/2,-z'
'x,-y+1/2,z'
'y+1/2,x+1/2,-z'
'-y+1/2,-x+1/2,z'
loop_
_atom_site_label
_atom_site_type_symbol
_atom_site_fract_x
_atom_site_fract_y
_atom_site_fract_z
_atom_site_occupancy
U1 U 0.250 0.250 0.245 1
Sb1 Sb 0.250 0.250 0.686 1
Sb2 Sb 0.250 0.750 0.000 1
Au1 Au 0.250 0.750 0.500 1
# Calculated density (g cm⁻³): 11.55
# Crystal system: tetragonal
# Final energy (eV/cell): -367.50
# ΔE_f (eV per formula unit): -1.81

=====

[3]
# K2AgBi (r²SCAN, relaxed)
data_K2AgBi
_cell_length_a 8.420
_cell_length_b 10.693
_cell_length_c 6.381
_cell_angle_alpha 90.00
_cell_angle_beta 90.00
_cell_angle_gamma 90.00
_space_group_name_H-M_alt 'C 2 2 21'
_space_group_IT_number 20
_space_group_name_Hall 'C 2c 2'
loop_
_atom_site_label
_atom_site_type_symbol
_atom_site_fract_x
_atom_site_fract_y
_atom_site_fract_z
_atom_site_occupancy
K1 K 0.154 0.173 0.499 1
Ag1 Ag 0.000 0.499 0.250 1
Bi1 Bi 0.229 0.000 0.000 1
# Calculated density (g cm⁻³): 4.57
# Crystal system: orthorhombic
# Final energy (eV/cell): -374.20
# ΔE_f (eV per formula unit): -1.66

=====

[4]
# Tb2Si4Mo3 (r²SCAN, relaxed)
data_Tb2Si4Mo3
_cell_length_a 6.857
_cell_length_b 6.920
_cell_length_c 6.748
_cell_angle_alpha 90.00
_cell_angle_beta 108.87
_cell_angle_gamma 90.00
_space_group_name_H-M_alt 'P 1 21/c 1'
_space_group_IT_number 14
_space_group_name_Hall '-P 2ybc'
loop_
_atom_site_label
_atom_site_type_symbol
_atom_site_fract_x
_atom_site_fract_y
_atom_site_fract_z
_atom_site_occupancy
Tb1 Tb 0.191 0.170 0.063 1
Si1 Si 0.091 0.546 0.870 1
Si2 Si 0.494 0.631 0.627 1
Mo1 Mo 0.251 0.662 0.249 1
Mo2 Mo 0.500 0.000 0.500 1
# Calculated density (g cm⁻³): 7.87
# Crystal system: monoclinic
# Final energy (eV/cell): -363.90
# ΔE_f (eV per formula unit): -6.19